Compound: Ti2N2O
Source: Materials Project
Functional: PBE
Structure: optimized geometry

Summary:
- SG: P1
- Calculated formation energy: -1.99 eV/atom
- Total magnetization: 0.00 μB per formula unit
- Total DFT energy (no corrections): -9.332 eV/atom

Unit cell a=8.2187 b=8.2193 c=8.2203 alpha=109.42 beta=109.52 gamma=109.37
With the nearest neighbours (Å) after each atom.
Atoms (fractional coordinates):
1 N 0.2779 0.2257 0.2661  4 Ti 1.99-2.05
2 N 0.0380 0.2757 0.5511  4 Ti 1.96-2.15
3 N 0.7772 0.5108 0.0544  4 Ti 1.99-2.11
4 N 0.5414 0.9890 0.7648  4 Ti 1.96-2.06
5 N 0.2726 0.0490 0.5384  4 Ti 2.02-2.06
6 N 0.4930 0.4517 0.7237  4 Ti 1.95-2.06
7 N 0.7241 0.9502 0.4587  4 Ti 1.94-2.09
8 N 0.0056 0.7328 0.9584  4 Ti 1.97-2.09
9 N 0.4530 0.2258 0.9916  4 Ti 1.98-2.08
10 N 0.0507 0.0398 0.7743  4 Ti 1.96-2.11
11 N 0.2245 0.7667 0.7733  4 Ti 1.93-2.09
12 N 0.2380 0.7259 0.2733  4 Ti 1.95-2.07
13 N 0.7372 0.4615 0.5091  4 Ti 2.01-2.08
14 N 0.9876 0.2632 0.0392  4 Ti 1.97-2.13
15 N 0.2654 0.5386 0.4877  4 Ti 1.98-2.07
16 N 0.5516 0.7756 0.0131  4 Ti 2.00-2.12
17 O 0.9567 0.7248 0.4478  4 Ti 2.09-2.10
18 O 0.4609 0.0110 0.2356  4 Ti 2.02-2.14
19 O 0.9532 0.9619 0.2252  4 Ti 2.03-2.13
20 O 0.7731 0.2349 0.2278  4 Ti 2.03-2.17
21 O 0.7671 0.2737 0.7244  4 Ti 2.01-2.15
22 O 0.5091 0.5492 0.2704  4 Ti 2.03-2.15
23 O 0.2270 0.4886 0.9520  4 Ti 2.05-2.15
24 O 0.7244 0.7761 0.7323  4 Ti 2.02-2.14
25 Ti 0.5351 0.2456 0.7955  5 N 1.98-2.11, 1 O 2.14
26 Ti 0.4694 0.7618 0.2151  3 N 1.94-2.06, 3 O 2.02-2.15
27 Ti 0.0061 0.5173 0.0146  4 N 1.95-2.13, 2 O 2.11-2.15
28 Ti 0.2906 0.5407 0.7429  5 N 2.02-2.12, 1 O 2.09
29 Ti 0.2076 0.9595 0.2531  4 N 2.02-2.09, 2 O 2.03-2.05
30 Ti 0.9570 0.7433 0.7091  4 N 1.99-2.11, 2 O 2.08-2.10
31 Ti 0.7411 0.6956 0.9578  4 N 1.99-2.09, 2 O 2.09-2.14
32 Ti 0.2379 0.2821 0.0352  4 N 1.96-2.08, 2 O 2.05-2.14
33 Ti 0.2547 0.7983 0.5415  5 N 2.03-2.09, 1 O 2.10
34 Ti 0.6981 0.4490 0.2423  3 N 1.98-2.07, 3 O 2.03-2.09
35 Ti 0.7934 0.0443 0.7525  4 N 2.01-2.08, 2 O 2.02-2.05
36 Ti 0.7626 0.2173 0.4645  3 N 1.96-2.09, 3 O 2.01-2.13
37 Ti 0.4927 0.4897 0.5017  4 N 1.95-2.08, 2 O 2.10-2.15
38 Ti 0.0020 0.0101 0.5121  4 N 1.97-2.06, 2 O 2.09-2.13
39 Ti 0.4888 0.9848 0.9790  4 N 1.93-2.07, 1 O 2.14
40 Ti 0.0533 0.2584 0.2903  4 N 1.97-2.15, 2 O 2.10-2.11